Compound: Li7Mn5O12
Source: the Materials Project database
Functional: PBE with a Hubbard U
Structure: relaxed

Output
The crystal system is triclinic. As for the space group: P-1, No. 2. The formation energy is -2.140 eV per atom. Its MP2020-corrected energy is -7.0795 eV/atom.

a b c (Å): 6.0236 10.0921 8.2087
angles (deg): 66.79 89.37 103.70
With the nearest neighbours (Å) after each atom.
Positions (direct):
1 Mn 0.6668 0.8333 0.8334  6 O 1.94-1.99
2 Mn 0.9954 0.4960 0.5006  4 O 1.94-2.01
3 Mn 0.9975 0.9948 0.0016  4 O 1.91-2.02
4 Mn 0.3380 0.1708 0.1661  4 O 1.94-2.01
5 Mn 0.8449 0.1704 0.1664  6 O 1.92-2.02
6 Mn 0.4918 0.9965 0.9971  5 O 1.95-2.18
7 Mn 0.3358 0.6719 0.6650  4 O 1.91-2.02
8 Mn 0.8415 0.6701 0.6696  5 O 1.95-2.18
9 Mn 0.4885 0.4964 0.5002  6 O 1.92-2.02
10 Mn 0.6667 0.3334 0.3331  6 O 1.94-1.97
11 Li 0.1667 0.8333 0.3333  4 O 1.98-2.17
12 Li 0.4964 0.9998 0.5040  6 O 2.05-2.21
13 Li 0.8193 0.1549 0.6662  5 O 2.00-2.23
14 Li 0.6668 0.8333 0.3334  6 O 2.14-2.18
15 Li 0.5142 0.5117 0.0004  5 O 2.01-2.23
16 Li 0.3263 0.6740 0.1552  5 O 2.08-2.26
17 Li 0.6667 0.3333 0.8334  6 O 2.15-2.17
18 Li 0.0071 0.9926 0.5115  5 O 2.08-2.26
19 Li 0.0028 0.4982 0.0079  5 O 2.10-2.20
20 Li 0.1666 0.8333 0.8333  6 O 2.08-2.20
21 Li 0.1666 0.3334 0.3333  6 O 2.06-2.19
22 Li 0.3306 0.1684 0.6587  5 O 2.10-2.20
23 Li 0.8370 0.6669 0.1625  6 O 2.05-2.21
24 Li 0.1667 0.3333 0.8333  6 O 2.07-2.16
25 O 0.8247 0.1759 0.3993  2 Mn 1.94, 1 Li 2.12
26 O 0.3476 0.6597 0.4259  2 Mn 1.92-2.02
27 O 0.9657 0.4838 0.2719  2 Mn 1.94-1.97, 3 Li 2.05-2.12
28 O 0.4854 0.5041 0.7331  2 Mn 1.94-1.99, 2 Li 2.15
29 O 0.8231 0.6747 0.9044  2 Mn 1.94-1.95, 2 Li 2.07-2.09
30 O 0.3676 0.1829 0.3948  2 Mn 1.94-1.97, 3 Li 2.05-2.12
31 O 0.9670 0.9857 0.7680  2 Mn 1.96-1.98, 3 Li 2.00-2.09
32 O 0.8031 0.6428 0.4394  3 Mn 2.01-2.02, 2 Li 2.14-2.19
33 O 0.1521 0.8402 0.0888  1 Mn 1.91, 3 Li 1.98-2.13
34 O 0.5099 0.9920 0.7623  2 Mn 1.95, 2 Li 2.07-2.09
35 O 0.6441 0.3339 0.5693  2 Mn 1.94-1.97, 2 Li 2.10-2.17
36 O 0.6451 0.8346 0.0683  2 Mn 1.94-1.96, 1 Li 2.10
37 O 0.6880 0.8320 0.5984  2 Mn 1.94-1.96, 1 Li 2.10
38 O 0.5303 0.0239 0.2273  3 Mn 2.01-2.02, 2 Li 2.14-2.19
39 O 0.5086 0.4908 0.2674  2 Mn 1.94, 1 Li 2.12
40 O 0.3661 0.6810 0.8987  2 Mn 1.96-1.99, 3 Li 2.01-2.09
41 O 0.1812 0.8265 0.5778  1 Mn 1.91, 3 Li 1.98-2.13
42 O 0.8480 0.1625 0.9335  2 Mn 1.94-1.99, 2 Li 2.15
43 O 0.1883 0.3565 0.5715  2 Mn 1.93-1.95, 3 Li 2.06-2.14
44 O 0.9854 0.5053 0.7371  2 Mn 1.95-1.98, 2 Li 2.15-2.16
45 O 0.6892 0.3327 0.0974  2 Mn 1.94-1.97, 2 Li 2.10-2.17
46 O 0.9858 0.0069 0.2407  2 Mn 1.92-2.02
47 O 0.3480 0.1614 0.9296  2 Mn 1.95-1.98, 2 Li 2.15-2.16
48 O 0.1450 0.3102 0.0952  2 Mn 1.93-1.95, 3 Li 2.06-2.14